Entry 1:
Crystalline SrLiTi4CrO11 at its relaxed geometry, computed with PBE+U.

Calculated values
Energy   -8.2426 eV/atom
Formation energy from the elements   -3259 meV per atom
Polymorph energy (0 for the lowest one)   0.28 eV per formula unit

```
data_SrLiTi4CrO11
_space_group_name_H-M_alt 'P n m a'
_space_group_IT_number 62
_cell_length_a 13.9767
_cell_length_b 5.8363
_cell_length_c 10.0163
_cell_angle_alpha 90.00
_cell_angle_beta 90.00
_cell_angle_gamma 90.00
loop_
_space_group_symop_operation_xyz
'x,y,z'
'-x,-y,-z'
'-x+1/2,-y,z+1/2'
'x+1/2,y,-z+1/2'
'x+1/2,-y+1/2,-z+1/2'
'-x+1/2,y+1/2,z+1/2'
'-x,y+1/2,-z'
'x,-y+1/2,z'
loop_
_atom_site_label
_atom_site_type_symbol
_atom_site_fract_x
_atom_site_fract_y
_atom_site_fract_z
Sr1 Sr 0.0942 0.2500 0.1043
Li1 Li 0.0413 0.2500 0.4188
Ti1 Ti 0.0087 0.7500 0.2367
Ti2 Ti 0.1621 0.7500 0.9286
Ti3 Ti 0.1719 0.0016 0.6635
Cr1 Cr 0.1750 0.7500 0.3990
O1 O 0.0657 0.7500 0.0582
O2 O 0.0833 0.5244 0.3120
O3 O 0.0872 0.2500 0.6046
O4 O 0.0897 0.5089 0.8255
O5 O 0.1018 0.7500 0.5719
O6 O 0.2398 0.7500 0.7516
O7 O 0.2448 0.0023 0.0008
O8 O 0.2462 0.2500 0.7357
```

Entry 2:
Crystalline SrLiTi4CrO11 at its relaxed geometry, computed with PBE+U.

Calculated values
Energy   -8.2583 eV/atom
Formation energy from the elements   -3275 meV per atom
Polymorph energy (0 for the lowest one)   0.00 eV per formula unit

```
data_SrLiTi4CrO11
_space_group_name_H-M_alt 'P 1 21/c 1'
_space_group_IT_number 14
_cell_length_a 5.8643
_cell_length_b 13.9520
_cell_length_c 11.5920
_cell_angle_alpha 90.00
_cell_angle_beta 120.33
_cell_angle_gamma 90.00
loop_
_space_group_symop_operation_xyz
'x,y,z'
'-x,-y,-z'
'-x,y+1/2,-z+1/2'
'x,-y+1/2,z+1/2'
loop_
_atom_site_label
_atom_site_type_symbol
_atom_site_fract_x
_atom_site_fract_y
_atom_site_fract_z
Sr1 Sr 0.1519 0.0966 0.3962
Li1 Li 0.1748 0.5436 0.4214
Ti1 Ti 0.1722 0.6679 0.6669
Ti2 Ti 0.1879 0.6725 0.9344
Ti3 Ti 0.3564 0.1645 0.1098
Ti4 Ti 0.4638 0.0012 0.7216
Cr1 Cr 0.3321 0.1703 0.8322
O1 O 0.0088 0.7435 0.0056
O2 O 0.0155 0.7379 0.7592
O3 O 0.1693 0.0836 0.6695
O4 O 0.1745 0.1028 0.9291
O5 O 0.2121 0.0881 0.1848
O6 O 0.3116 0.5654 0.0584
O7 O 0.3192 0.5833 0.8257
O8 O 0.3438 0.5868 0.3151
O9 O 0.3516 0.5862 0.6057
O10 O 0.4961 0.2415 0.4948
O11 O 0.4964 0.7424 0.7515
```

Entry 3:
Crystalline SrLiTi4CrO11 at its relaxed geometry, computed with PBE+U.

Calculated values
Energy   -8.2529 eV/atom
Formation energy from the elements   -3269 meV per atom
Polymorph energy (0 for the lowest one)   0.10 eV per formula unit

```
data_SrLiTi4CrO11
_space_group_name_H-M_alt 'P n a 21'
_space_group_IT_number 33
_cell_length_a 13.9613
_cell_length_b 9.9917
_cell_length_c 5.8342
_cell_angle_alpha 90.00
_cell_angle_beta 90.00
_cell_angle_gamma 90.00
loop_
_space_group_symop_operation_xyz
'x,y,z'
'-x,-y,z+1/2'
'-x+1/2,y+1/2,z+1/2'
'x+1/2,-y+1/2,z'
loop_
_atom_site_label
_atom_site_type_symbol
_atom_site_fract_x
_atom_site_fract_y
_atom_site_fract_z
Sr1 Sr 0.0953 0.1038 0.0000
Li1 Li 0.0401 0.4211 0.0016
Ti1 Ti 0.0027 0.7740 0.9964
Ti2 Ti 0.1659 0.3881 0.5067
Ti3 Ti 0.1681 0.9307 0.4936
Ti4 Ti 0.1721 0.6598 0.2499
Cr1 Cr 0.1711 0.6649 0.7524
O1 O 0.0654 0.0598 0.5015
O2 O 0.0853 0.8258 0.2588
O3 O 0.0846 0.8278 0.7492
O4 O 0.0861 0.3156 0.2811
O5 O 0.0857 0.3160 0.7251
O6 O 0.0865 0.6048 0.0077
O7 O 0.1029 0.5693 0.4976
O8 O 0.2388 0.7556 0.4953
O9 O 0.2424 0.0003 0.2505
O10 O 0.2432 0.0026 0.7492
O11 O 0.2449 0.7462 0.0065
```